# 1
Computed, not measured: a geometry-optimized TbSnAu2 structure at the r²SCAN level of DFT.

Cell lengths 6.998, 6.998, 6.998 Å; angles 90.00, 90.00, 90.00 degrees
Fractional positions:
Tb1 0.000 0.000 0.000
Tb2 0.000 0.500 0.500
Tb3 0.500 0.000 0.500
Tb4 0.500 0.500 0.000
Sn1 0.000 0.000 0.500
Sn2 0.000 0.500 0.000
Sn3 0.500 0.000 0.000
Sn4 0.500 0.500 0.500
Au1 0.250 0.250 0.250
Au2 0.250 0.250 0.750
Au3 0.250 0.750 0.250
Au4 0.250 0.750 0.750
Au5 0.750 0.250 0.250
Au6 0.750 0.250 0.750
Au7 0.750 0.750 0.250
Au8 0.750 0.750 0.750

Summary:
The calculation puts the uncorrected energy at -40.015 eV/atom. Its formation energy is -730 meV per atom. The magnetic moment is 0.0 Bohr magnetons per cell.


# 2
Computed, not measured: a geometry-optimized LiMg2 structure at the r²SCAN level of DFT.

Cell lengths 3.141, 16.194, 5.017 Å; angles 90.00, 90.00, 90.00 degrees
Fractional positions:
Li1 0.000 0.056 0.250
Li2 0.000 0.944 0.750
Li3 0.500 0.444 0.750
Li4 0.500 0.556 0.250
Mg1 0.000 0.279 0.750
Mg2 0.000 0.394 0.250
Mg3 0.000 0.606 0.750
Mg4 0.000 0.721 0.250
Mg5 0.500 0.106 0.750
Mg6 0.500 0.221 0.250
Mg7 0.500 0.779 0.750
Mg8 0.500 0.894 0.250

Summary:
The calculation puts the uncorrected energy at -3.596 eV/atom. Its formation energy is -21 meV per atom. The magnetic moment is 0.0 Bohr magnetons per cell.


# 3
Computed, not measured: a geometry-optimized Rb4SnS4 structure at the r²SCAN level of DFT.

Cell lengths 13.544, 13.544, 13.544 Å; angles 90.00, 90.00, 90.00 degrees
Fractional positions:
Rb1 0.084 0.136 0.652
Rb2 0.084 0.864 0.348
Rb3 0.136 0.348 0.916
Rb4 0.136 0.652 0.084
Rb5 0.152 0.364 0.416
Rb6 0.152 0.636 0.584
Rb7 0.154 0.154 0.154
Rb8 0.154 0.846 0.846
Rb9 0.346 0.346 0.654
Rb10 0.346 0.654 0.346
Rb11 0.348 0.084 0.864
Rb12 0.348 0.916 0.136
Rb13 0.364 0.416 0.152
Rb14 0.364 0.584 0.848
Rb15 0.416 0.152 0.364
Rb16 0.416 0.848 0.636
Rb17 0.584 0.152 0.636
Rb18 0.584 0.848 0.364
Rb19 0.636 0.416 0.848
Rb20 0.636 0.584 0.152
Rb21 0.652 0.084 0.136
Rb22 0.652 0.916 0.864
Rb23 0.654 0.346 0.346
Rb24 0.654 0.654 0.654
Rb25 0.846 0.154 0.846
Rb26 0.846 0.846 0.154
Rb27 0.848 0.364 0.584
Rb28 0.848 0.636 0.416
Rb29 0.864 0.348 0.084
Rb30 0.864 0.652 0.916
Rb31 0.916 0.136 0.348
Rb32 0.916 0.864 0.652
Sn1 0.000 0.000 0.000
Sn2 0.000 0.500 0.250
Sn3 0.000 0.500 0.750
Sn4 0.250 0.000 0.500
Sn5 0.500 0.250 0.000
Sn6 0.500 0.500 0.500
Sn7 0.500 0.750 0.000
Sn8 0.750 0.000 0.500
S1 0.098 0.388 0.653
S2 0.098 0.612 0.347
S3 0.102 0.102 0.898
S4 0.102 0.898 0.102
S5 0.112 0.402 0.153
S6 0.112 0.598 0.847
S7 0.153 0.112 0.402
S8 0.153 0.888 0.598
S9 0.347 0.098 0.612
S10 0.347 0.902 0.388
S11 0.388 0.347 0.902
S12 0.388 0.653 0.098
S13 0.398 0.398 0.398
S14 0.398 0.602 0.602
S15 0.402 0.153 0.112
S16 0.402 0.847 0.888
S17 0.598 0.153 0.888
S18 0.598 0.847 0.112
S19 0.602 0.398 0.602
S20 0.602 0.602 0.398
S21 0.612 0.347 0.098
S22 0.612 0.653 0.902
S23 0.653 0.098 0.388
S24 0.653 0.902 0.612
S25 0.847 0.112 0.598
S26 0.847 0.888 0.402
S27 0.888 0.402 0.847
S28 0.888 0.598 0.153
S29 0.898 0.102 0.102
S30 0.898 0.898 0.898
S31 0.902 0.388 0.347
S32 0.902 0.612 0.653

Summary:
The calculation puts the uncorrected energy at -13.732 eV/atom. Its formation energy is -1221 meV per atom. The magnetic moment is 0.0 Bohr magnetons per cell.


# 4
Computed, not measured: a geometry-optimized Cr2NiO4 structure at the r²SCAN level of DFT.

Cell lengths 5.901, 5.901, 5.848 Å; angles 119.62, 119.62, 90.52 degrees
Fractional positions:
Cr1 0.000 0.000 0.000
Cr2 0.000 0.000 0.500
Cr3 0.498 0.999 0.999
Cr4 0.999 0.498 0.499
Ni1 0.381 0.627 0.253
Ni2 0.627 0.381 0.753
O1 0.218 0.239 0.478
O2 0.233 0.758 0.975
O3 0.234 0.758 0.516
O4 0.239 0.218 0.978
O5 0.758 0.233 0.475
O6 0.758 0.234 0.016
O7 0.758 0.789 0.025
O8 0.789 0.758 0.525

Summary:
The calculation puts the uncorrected energy at -11.443 eV/atom. Its formation energy is -2012 meV per atom. The magnetic moment is 16.0 Bohr magnetons per cell.


# 5
Computed, not measured: a geometry-optimized TmLuAg2 structure at the r²SCAN level of DFT.

Cell lengths 7.087, 7.087, 7.087 Å; angles 90.00, 90.00, 90.00 degrees
Fractional positions:
Tm1 0.000 0.000 0.000
Tm2 0.000 0.500 0.500
Tm3 0.500 0.000 0.500
Tm4 0.500 0.500 0.000
Lu1 0.000 0.000 0.500
Lu2 0.000 0.500 0.000
Lu3 0.500 0.000 0.000
Lu4 0.500 0.500 0.500
Ag1 0.250 0.250 0.250
Ag2 0.250 0.250 0.750
Ag3 0.250 0.750 0.250
Ag4 0.250 0.750 0.750
Ag5 0.750 0.250 0.250
Ag6 0.750 0.250 0.750
Ag7 0.750 0.750 0.250
Ag8 0.750 0.750 0.750

Summary:
The calculation puts the uncorrected energy at -29.337 eV/atom. Its formation energy is -359 meV per atom. The magnetic moment is 0.0 Bohr magnetons per cell.


# 6
Computed, not measured: a geometry-optimized Zr3Sn structure at the r²SCAN level of DFT.

Cell lengths 5.639, 5.639, 5.639 Å; angles 90.00, 90.00, 90.00 degrees
Fractional positions:
Zr1 0.000 0.250 0.500
Zr2 0.000 0.750 0.500
Zr3 0.250 0.500 0.000
Zr4 0.500 0.000 0.250
Zr5 0.500 0.000 0.750
Zr6 0.750 0.500 0.000
Sn1 0.000 0.000 0.000
Sn2 0.500 0.500 0.500

Summary:
The calculation puts the uncorrected energy at -23.648 eV/atom. Its formation energy is -399 meV per atom. The magnetic moment is 0.0 Bohr magnetons per cell.


# 7
Computed, not measured: a geometry-optimized YbPrO2 structure at the r²SCAN level of DFT.

Cell lengths 3.376, 3.376, 17.944 Å; angles 90.00, 90.00, 120.00 degrees
Fractional positions:
Yb1 0.000 0.000 0.000
Yb2 0.333 0.667 0.667
Yb3 0.667 0.333 0.333
Pr1 0.000 0.000 0.500
Pr2 0.333 0.667 0.167
Pr3 0.667 0.333 0.833
O1 0.000 0.000 0.271
O2 0.000 0.000 0.729
O3 0.333 0.667 0.396
O4 0.333 0.667 0.938
O5 0.667 0.333 0.062
O6 0.667 0.333 0.604

Summary:
The calculation puts the uncorrected energy at -22.661 eV/atom. Its distance to the lowest polymorph of the same formula is 0.000 eV per atom. Its formation energy is -3191 meV per atom. The magnetic moment is 0.0 Bohr magnetons per cell.


# 8
Computed, not measured: a geometry-optimized ScNi2 structure at the r²SCAN level of DFT.

Cell lengths 4.847, 4.847, 4.847 Å; angles 60.00, 60.00, 60.00 degrees
Fractional positions:
Sc1 0.125 0.125 0.125
Sc2 0.875 0.875 0.875
Ni1 0.000 0.500 0.500
Ni2 0.500 0.000 0.500
Ni3 0.500 0.500 0.000
Ni4 0.500 0.500 0.500

Summary:
The calculation puts the uncorrected energy at -12.266 eV/atom. Its formation energy is -478 meV per atom. The magnetic moment is 0.0 Bohr magnetons per cell.


# 9
Computed, not measured: a geometry-optimized Tm5Ge10Ir4 structure at the r²SCAN level of DFT.

Cell lengths 12.884, 12.884, 4.270 Å; angles 90.00, 90.00, 90.00 degrees
Fractional positions:
Tm1 0.000 0.000 0.000
Tm2 0.115 0.385 0.500
Tm3 0.173 0.673 0.500
Tm4 0.327 0.173 0.500
Tm5 0.385 0.885 0.500
Tm6 0.500 0.500 0.000
Tm7 0.615 0.115 0.500
Tm8 0.673 0.827 0.500
Tm9 0.827 0.327 0.500
Tm10 0.885 0.615 0.500
Ge1 0.006 0.845 0.500
Ge2 0.067 0.567 0.000
Ge3 0.155 0.006 0.500
Ge4 0.165 0.200 0.000
Ge5 0.200 0.835 0.000
Ge6 0.300 0.335 0.000
Ge7 0.335 0.700 0.000
Ge8 0.345 0.506 0.500
Ge9 0.433 0.067 0.000
Ge10 0.494 0.345 0.500
Ge11 0.506 0.655 0.500
Ge12 0.567 0.933 0.000
Ge13 0.655 0.494 0.500
Ge14 0.665 0.300 0.000
Ge15 0.700 0.665 0.000
Ge16 0.800 0.165 0.000
Ge17 0.835 0.800 0.000
Ge18 0.845 0.994 0.500
Ge19 0.933 0.433 0.000
Ge20 0.994 0.155 0.500
Ir1 0.019 0.754 0.000
Ir2 0.246 0.019 0.000
Ir3 0.254 0.519 0.000
Ir4 0.481 0.254 0.000
Ir5 0.519 0.746 0.000
Ir6 0.746 0.481 0.000
Ir7 0.754 0.981 0.000
Ir8 0.981 0.246 0.000

Summary:
The calculation puts the uncorrected energy at -28.400 eV/atom. Its formation energy is -834 meV per atom. The magnetic moment is 0.0 Bohr magnetons per cell.


# 10
Computed, not measured: a geometry-optimized GeO2 structure at the r²SCAN level of DFT.

Cell lengths 4.982, 4.982, 7.106 Å; angles 90.00, 90.00, 90.00 degrees
Fractional positions:
Ge1 0.173 0.173 0.000
Ge2 0.327 0.673 0.250
Ge3 0.673 0.327 0.750
Ge4 0.827 0.827 0.500
O1 0.168 0.774 0.458
O2 0.226 0.832 0.042
O3 0.274 0.332 0.208
O4 0.332 0.274 0.792
O5 0.668 0.726 0.292
O6 0.726 0.668 0.708
O7 0.774 0.168 0.542
O8 0.832 0.226 0.958

Summary:
The calculation puts the uncorrected energy at -10.355 eV/atom. Its formation energy is -1749 meV per atom. The magnetic moment is 0.0 Bohr magnetons per cell.


# 11
Computed, not measured: a geometry-optimized Rb6Si10O23 structure at the r²SCAN level of DFT.

Cell lengths 8.115, 9.470, 9.470 Å; angles 120.99, 90.00, 90.00 degrees
Fractional positions:
Rb1 0.000 0.000 0.000
Rb2 0.000 0.246 0.483
Rb3 0.000 0.483 0.246
Rb4 0.500 0.004 0.004
Rb5 0.500 0.247 0.491
Rb6 0.500 0.491 0.247
Si1 0.188 0.593 0.933
Si2 0.188 0.933 0.593
Si3 0.300 0.646 0.646
Si4 0.310 0.262 0.855
Si5 0.310 0.855 0.262
Si6 0.690 0.262 0.855
Si7 0.690 0.855 0.262
Si8 0.700 0.646 0.646
Si9 0.812 0.593 0.933
Si10 0.812 0.933 0.593
O1 0.000 0.644 0.997
O2 0.000 0.997 0.644
O3 0.203 0.395 0.828
O4 0.203 0.828 0.395
O5 0.233 0.670 0.821
O6 0.233 0.821 0.670
O7 0.247 0.485 0.485
O8 0.254 0.002 0.242
O9 0.254 0.242 0.002
O10 0.302 0.095 0.670
O11 0.302 0.670 0.095
O12 0.500 0.327 0.869
O13 0.500 0.671 0.671
O14 0.500 0.869 0.327
O15 0.698 0.095 0.670
O16 0.698 0.670 0.095
O17 0.746 0.002 0.242
O18 0.746 0.242 0.002
O19 0.753 0.485 0.485
O20 0.767 0.670 0.821
O21 0.767 0.821 0.670
O22 0.797 0.395 0.828
O23 0.797 0.828 0.395

Summary:
The calculation puts the uncorrected energy at -10.749 eV/atom. Its formation energy is -2833 meV per atom. The magnetic moment is 0.0 Bohr magnetons per cell.


# 12
Computed, not measured: a geometry-optimized MgRe2O8 structure at the r²SCAN level of DFT.

Cell lengths 5.748, 5.748, 6.242 Å; angles 90.00, 90.00, 120.00 degrees
Fractional positions:
Mg1 0.000 0.000 0.000
Re1 0.333 0.667 0.282
Re2 0.667 0.333 0.718
O1 0.165 0.337 0.189
O2 0.172 0.835 0.189
O3 0.333 0.667 0.558
O4 0.337 0.172 0.811
O5 0.663 0.828 0.189
O6 0.667 0.333 0.442
O7 0.828 0.165 0.811
O8 0.835 0.663 0.811

Summary:
The calculation puts the uncorrected energy at -16.227 eV/atom. Its formation energy is -1975 meV per atom. The magnetic moment is 0.0 Bohr magnetons per cell.